a | Entry from Materials Project: an optimized crystal structure of CeTmS3 (GGA-PBE).

Lattice parameters (Å, degrees): 10.954 3.927 21.459 90.00 101.57 90.00
Atoms (fractional coordinates):
Ce 0.092 0.250 0.363
Ce 0.201 0.250 0.038
Ce 0.304 0.750 0.734
Ce 0.307 0.250 0.232
Ce 0.693 0.750 0.768
Ce 0.696 0.250 0.266
Ce 0.799 0.750 0.962
Ce 0.908 0.750 0.637
Tm 0.030 0.250 0.852
Tm 0.178 0.250 0.546
Tm 0.446 0.250 0.918
Tm 0.478 0.750 0.412
Tm 0.522 0.250 0.588
Tm 0.554 0.750 0.082
Tm 0.822 0.750 0.454
Tm 0.970 0.750 0.148
S 0.038 0.250 0.229
S 0.058 0.750 0.944
S 0.086 0.750 0.462
S 0.125 0.250 0.664
S 0.206 0.750 0.135
S 0.252 0.750 0.325
S 0.254 0.250 0.823
S 0.342 0.750 0.600
S 0.354 0.750 0.986
S 0.363 0.250 0.464
S 0.452 0.250 0.134
S 0.494 0.250 0.722
S 0.506 0.750 0.278
S 0.548 0.750 0.866
S 0.637 0.750 0.536
S 0.646 0.250 0.014
S 0.658 0.250 0.400
S 0.746 0.750 0.177
S 0.748 0.250 0.675
S 0.794 0.250 0.865
S 0.875 0.750 0.336
S 0.914 0.250 0.538
S 0.942 0.250 0.056
S 0.962 0.750 0.771

The space group is P2_1/m, No. 11.

b | Entry from Materials Project: an optimized crystal structure of CeTmS3 (GGA-PBE).

Lattice parameters (Å, degrees): 16.379 3.933 21.105 90.00 90.00 90.00
Atoms (fractional coordinates):
Ce 0.163 0.250 0.245
Ce 0.170 0.750 0.587
Ce 0.196 0.250 0.922
Ce 0.304 0.750 0.422
Ce 0.330 0.250 0.087
Ce 0.337 0.750 0.745
Ce 0.663 0.250 0.255
Ce 0.670 0.750 0.913
Ce 0.696 0.250 0.578
Ce 0.804 0.750 0.078
Ce 0.830 0.250 0.413
Ce 0.837 0.750 0.755
Tm 0.056 0.750 0.070
Tm 0.066 0.250 0.421
Tm 0.095 0.250 0.751
Tm 0.405 0.750 0.251
Tm 0.434 0.750 0.921
Tm 0.444 0.250 0.570
Tm 0.556 0.750 0.430
Tm 0.566 0.250 0.079
Tm 0.595 0.250 0.749
Tm 0.905 0.750 0.249
Tm 0.934 0.750 0.579
Tm 0.944 0.250 0.930
S 0.038 0.750 0.682
S 0.045 0.250 0.552
S 0.054 0.750 0.195
S 0.061 0.750 0.941
S 0.147 0.750 0.351
S 0.160 0.250 0.064
S 0.179 0.750 0.817
S 0.210 0.250 0.484
S 0.230 0.250 0.678
S 0.270 0.750 0.178
S 0.290 0.750 0.984
S 0.321 0.250 0.317
S 0.340 0.750 0.564
S 0.353 0.250 0.851
S 0.439 0.250 0.441
S 0.446 0.250 0.695
S 0.455 0.750 0.052
S 0.462 0.250 0.182
S 0.538 0.750 0.818
S 0.545 0.250 0.948
S 0.554 0.750 0.305
S 0.561 0.750 0.559
S 0.647 0.750 0.149
S 0.660 0.250 0.436
S 0.679 0.750 0.683
S 0.710 0.250 0.016
S 0.730 0.250 0.822
S 0.770 0.750 0.322
S 0.790 0.750 0.516
S 0.821 0.250 0.183
S 0.840 0.750 0.936
S 0.853 0.250 0.649
S 0.939 0.250 0.059
S 0.946 0.250 0.805
S 0.955 0.750 0.448
S 0.962 0.250 0.318

The calculation puts the size of the total moment at 11.166 μB/cell. The space group is Pnma, No. 62.

Stability, highest: a

a | Entry from Materials Project: an optimized crystal structure of Tb3Ce (GGA-PBE).

Lattice parameters (Å, degrees): 6.083 6.083 6.083 131.47 131.47 71.06
Atoms (fractional coordinates):
Tb 0.000 0.000 0.000
Tb 0.250 0.750 0.500
Tb 0.750 0.250 0.500
Ce 0.500 0.500 0.000

The calculation puts the size of the total moment at 0.891 μB/cell. The space group is I4/mmm, No. 139.

b | Entry from Materials Project: an optimized crystal structure of Tb3Ce (GGA-PBE).

Lattice parameters (Å, degrees): 7.158 7.158 5.741 90.00 90.00 120.00
Atoms (fractional coordinates):
Tb 0.167 0.334 0.250
Tb 0.167 0.833 0.250
Tb 0.334 0.167 0.750
Tb 0.666 0.833 0.250
Tb 0.833 0.167 0.750
Tb 0.833 0.666 0.750
Ce 0.333 0.667 0.750
Ce 0.667 0.333 0.250

The calculation puts the size of the total moment at 1.724 μB/cell. The space group is P6_3/mmc, No. 194.

c | Entry from Materials Project: an optimized crystal structure of Tb3Ce (GGA-PBE).

Lattice parameters (Å, degrees): 3.556 3.556 11.592 90.00 90.00 120.00
Atoms (fractional coordinates):
Tb 0.000 0.000 0.000
Tb 0.667 0.333 0.250
Tb 0.667 0.333 0.750
Ce 0.000 0.000 0.500

The space group is P-6m2, No. 187.

Stability, highest: c